Li2Mn2S3O12 | PBE with a Hubbard U | relaxed

The structure in extended XYZ format:
```
76
Lattice="-5.8693 -1.5910 -6.3197 2.4405 -8.6872 -0.0795 -8.7244 -2.5309 8.7398" Properties=species:S:1:pos:R:3 pbc="T T T"
O -11.3728 -5.5648 1.8812
O -6.1660 -10.0614 2.9858
O -4.3759 -10.4082 -3.4833
O -4.8755 -8.3764 -1.5380
O -5.9872 -2.7477 -0.6452
O -2.8560 -7.1143 -3.4528
O -8.1693 -5.9300 2.1825
O -2.3299 -2.2974 -1.5327
O -7.7774 -2.4009 5.8239
O -5.1883 -2.1472 -5.1562
O -6.7526 -5.5749 6.8629
O -9.8234 -10.5118 3.8733
O -8.8922 -8.4680 -1.2366
O -3.2611 -4.3411 3.5772
O -11.1041 -4.4579 4.8050
O -9.2693 -5.6308 -0.3343
O -10.0916 -3.0164 2.0425
O -5.4007 -7.2342 -4.5224
O -9.2973 -5.6948 5.7934
O -8.2272 -3.9523 -1.7247
O -3.9840 -6.8791 0.1581
O -8.0725 -9.3225 1.6692
O -1.6592 -4.9974 0.7955
O -10.6187 -11.2972 1.3466
O -6.9650 -10.6619 7.4968
O -5.7793 -5.5949 2.3463
O -6.3740 -7.2142 -0.0057
O -4.0808 -3.4866 0.6713
O -7.2777 -4.4327 3.8786
O -6.1562 -10.3715 0.5869
O -12.4574 -7.4764 2.9365
O -7.3852 -10.1334 -2.2170
O -4.7681 -2.6757 4.5576
O -6.9390 -6.8362 4.0834
O -5.9971 -2.4376 1.7537
O -2.8840 -7.1783 2.6749
O -5.2143 -5.9729 -1.7428
O -6.2983 -8.8636 5.9915
O -1.5346 -1.5119 0.9940
O -2.0617 -9.7927 0.2981
O -9.3589 -8.6592 5.3305
O -3.9261 -8.8568 4.0653
O -0.7805 -7.2443 0.4594
O -2.7944 -4.1499 -2.9899
O 0.3041 -5.3327 -0.5959
O -1.0492 -8.3512 -2.4644
O -10.4941 -7.8117 1.5451
O -5.8550 -3.9455 -3.6510
Mn -12.0587 -3.8004 3.0576
Mn -3.7420 -5.3697 1.8144
Mn -4.2205 -5.4527 -3.8060
Mn -0.0946 -9.0087 -0.7170
Mn -7.9328 -7.3564 6.1465
Mn -8.4113 -7.4394 0.5262
Mn -5.4854 -10.5167 -1.4164
Mn -6.6679 -2.2924 3.7570
S -0.4096 -5.7982 0.5943
S -2.0468 -2.8920 -2.8807
S -2.8096 -7.8561 4.0112
S -5.8557 -10.0892 6.7325
S -11.7437 -7.0109 1.7463
S -5.1511 -2.4431 0.5592
S -6.2975 -2.7199 -4.3919
S -7.0022 -10.3660 1.7814
S -9.3436 -4.9530 -1.6706
S -7.0209 -5.6967 3.1149
S -5.1324 -7.1124 -0.7743
S -1.3821 -7.3862 -3.5185
Li -2.1705 -3.2150 0.1971
Li -2.5505 -8.0152 0.9290
Li -6.3054 -4.3587 -1.7604
Li -7.8684 -4.3466 5.7737
Li -4.2849 -8.4625 -3.4331
Li -9.6028 -4.7939 1.4116
Li -9.9827 -9.5941 2.1435
Li -5.8479 -8.4504 4.1010
```

The formation energy is -2.142 eV/atom. As for the total magnetization: 10.0 μB per formula unit. Its corrected total energy (MP2020 scheme) is -7.086 eV per atom. The crystal system is orthorhombic. For the energy above the lowest structure with this stoichiometry, the calculation gives 0 meV/atom.

LiMn2S3O12 | PBE with a Hubbard U | relaxed

The structure in extended XYZ format:
```
72
Lattice="-0.0977 5.2608 7.0645 6.5127 -4.3025 3.2941 14.2275 3.6316 -2.5077" Properties=species:S:1:pos:R:3 pbc="T T T"
O 6.8574 -1.5422 1.5793
O 10.5062 3.6282 4.4358
O 11.3977 4.4482 6.4828
O 14.1575 0.4736 2.1411
O 13.6434 4.3446 1.1263
O 14.0875 3.4282 7.3066
O 5.2532 3.8399 3.7268
O 6.9992 0.2453 6.7246
O 10.1363 0.9617 3.4151
O 9.2448 0.1417 1.3680
O 6.4850 4.1162 5.7097
O 7.6590 4.0669 3.5718
O 16.2536 4.6394 4.3131
O 13.9283 2.5821 3.4254
O 9.6354 2.5383 1.6268
O 4.5399 2.3834 1.1101
O 9.1276 3.4888 6.4601
O 9.1561 -0.4940 5.8684
O 13.6067 5.5031 3.8799
O 14.7418 7.5525 4.5602
O 19.0584 2.0362 3.5227
O 4.3260 5.7857 6.6170
O 11.9807 -1.7239 2.1657
O 4.3089 1.2911 5.9356
O 6.5550 1.1617 0.5443
O 8.9875 0.4638 8.0929
O 11.0072 2.0515 6.2241
O 13.7851 6.1321 6.2716
O 11.6550 4.1261 -0.2420
O 17.2722 1.5846 0.5594
O 16.3336 3.2987 1.9153
O 12.9835 0.5229 4.2790
O 11.4865 5.0839 1.9824
O 16.3165 -1.1958 1.2339
O 2.5330 0.1114 2.0600
O 12.3363 7.3071 4.6906
O 5.9008 -2.9626 3.2906
O 18.1096 4.4785 5.7909
O 8.3063 -2.7173 3.1602
O 16.1026 2.2064 6.7408
O 1.5842 2.5537 4.3282
O 3.3703 3.0053 7.2914
O 6.7142 2.0078 4.4254
O 7.0358 -0.9132 3.9710
O 15.3894 0.7500 4.1241
O 11.5150 1.1011 1.3908
O 4.3889 -0.0496 3.5378
O 8.6618 6.3138 5.6852
Li 9.7383 3.5248 -0.1318
Li 10.9043 1.0651 7.9827
Li 18.0249 2.5097 6.2304
Li 2.6176 2.0802 1.6205
Mn 11.1053 0.1614 5.0836
Mn 18.2600 -0.2303 0.8654
Mn 2.3825 4.8202 6.9854
Mn 12.8712 -0.3002 0.8124
Mn 9.5372 4.4285 2.7672
Mn 14.9266 4.4691 2.7809
Mn 5.7160 0.1208 5.0699
Mn 7.7713 4.8901 7.0384
S 6.5725 3.4545 4.3379
S 14.0700 1.1353 3.5130
S 3.0167 -0.5995 3.2801
S 10.5113 3.4177 5.8839
S 6.9815 -2.0389 2.9427
S 8.2973 -0.3972 7.0851
S 10.1313 1.1721 1.9669
S 12.3452 4.9871 0.7657
S 17.6258 5.1893 4.5707
S 5.2593 1.6740 0.0090
S 13.6610 6.6288 4.9082
S 15.3833 2.9159 7.8419
```

The formation energy is -2.018 eV/atom. As for the total magnetization: 9.0 μB per formula unit. Its corrected total energy (MP2020 scheme) is -7.130 eV per atom. The crystal system is monoclinic. For the energy above the lowest structure with this stoichiometry, the calculation gives 0 meV/atom.

Li2MnS2O8 | PBE with a Hubbard U | relaxed

The structure in extended XYZ format:
```
104
Lattice="-3.6228 2.1917 8.4027 -7.2750 -5.9006 -1.5976 7.2345 -10.5060 5.8595" Properties=species:S:1:pos:R:3 pbc="T T T"
O 1.3343 -6.9025 2.7570
O 3.4023 -11.2183 9.2799
O -4.5146 -2.4963 1.8656
O -3.7474 -3.8406 7.0633
O 0.5004 -10.7888 7.8954
O -2.8466 -13.5811 7.5535
O -5.1637 -7.0106 7.5352
O -7.2012 -3.2317 5.8186
O -0.8855 -15.6923 5.8184
O -1.2649 -9.7332 12.5000
O -0.2848 -9.0000 10.3519
O 3.0038 -6.1916 7.7757
O -0.8168 -0.6338 5.1110
O -4.3163 -11.3782 9.2340
O -3.4614 -8.5589 8.4640
O 1.2017 -3.9948 8.9355
O -4.9977 -7.3125 9.9076
O -0.2020 -5.6561 4.2006
O -4.1637 -3.4261 4.7691
O 2.2564 -8.4082 8.2704
O -6.6672 -8.0234 4.8889
O 3.5379 -10.9832 6.8459
O 0.9211 -1.8669 1.2866
O -7.0657 -2.9967 3.3847
O 2.2424 -9.5940 13.6243
O -6.2856 -5.0540 1.4206
O -3.0912 -5.5637 5.4163
O 0.0840 -10.3743 5.6012
O -1.5823 -6.4642 1.4064
O -7.7788 -6.2188 5.9455
O -3.4855 -8.2145 3.3046
O 1.5003 -7.2043 5.1293
O -1.5254 -12.2764 10.4159
O -1.8905 -3.4254 5.5102
O -3.8163 -0.7347 6.4792
O 4.1154 -7.9961 6.7190
O 0.1744 -5.2782 7.1014
O -1.1176 -3.8337 8.5986
O -2.7778 1.4774 6.8461
O -0.5722 -8.6513 7.2483
O -4.5845 -12.3480 11.3779
O -3.6913 -6.5643 0.2844
O -0.5351 -7.9685 3.9549
O -0.1779 -6.0005 9.3599
O -3.3786 -5.2149 2.3127
O 0.0279 -7.6507 12.3802
O -2.3984 -4.4817 0.1646
O -4.0014 -10.0320 11.2641
O 1.0094 -4.8034 12.1947
O -3.1283 -6.2464 8.7096
O 2.6222 -9.1609 11.2440
O -2.1380 -1.9385 2.2486
O 0.6529 -2.8367 3.4305
O 0.3380 -4.1829 1.4005
O -5.9198 -5.8067 4.3941
O -1.7729 -10.7896 7.1543
O -5.9058 -4.6209 -0.9597
O 0.1529 -13.4803 6.1853
O -4.8651 -10.2201 3.7291
O -2.5457 -10.3812 4.0659
O 0.8512 -11.7186 10.7989
O -4.6728 -9.4115 0.4698
O -2.0811 -7.7508 11.2582
O -3.8378 -8.9367 5.5632
S -4.2037 -7.2730 8.6420
S 3.4833 -7.5987 8.0125
S 1.1689 -3.1338 2.0609
S -3.6863 -9.4184 4.1565
S -4.0449 0.7291 6.6233
S -7.1467 -6.6163 4.6521
S 0.5403 -6.9419 4.0225
S -3.5275 -1.4163 2.1378
S -3.2012 -4.1133 5.7003
S -4.8323 -11.0811 10.6037
S -0.4622 -10.1017 6.9642
S -0.1359 -12.7986 10.5268
S -0.8868 -8.5781 11.6519
S 0.3815 -14.9440 6.0413
S 0.0229 -4.7965 8.5080
S -2.7766 -5.6368 1.0126
Li 3.4875 -6.2892 5.4650
Li -0.9789 -12.7521 7.6878
Li -2.1866 -6.4644 3.6905
Li -3.3183 -13.3090 9.6298
Li -4.5484 -6.9887 5.6144
Li -0.5455 -5.8215 11.3351
Li -0.3451 -0.9059 3.0347
Li -2.6845 -1.4628 4.9768
Li 0.8851 -7.2263 7.0501
Li -3.1179 -8.3934 1.3294
Li -1.4768 -7.7506 8.9740
Li -5.3093 -2.3673 6.5437
Li -1.2539 -2.8675 0.6918
Li 1.6459 -11.8477 6.1209
Li -7.1508 -7.9257 7.1995
Li -2.4095 -11.3474 11.9728
Mn 1.5363 -10.0134 9.6211
Mn -3.1505 -4.1133 9.1721
Mn -3.9298 -10.3080 7.3412
Mn 4.9533 -9.8070 5.7723
Mn -8.6167 -4.4079 6.8922
Mn -0.5129 -10.1016 3.4924
Mn 0.2665 -3.9069 5.3234
Mn -5.1997 -4.2016 3.0435
```

The formation energy is -2.181 eV/atom. As for the total magnetization: 5.0 μB per formula unit. Its corrected total energy (MP2020 scheme) is -6.860 eV per atom. The crystal system is orthorhombic. For the energy above the lowest structure with this stoichiometry, the calculation gives 14 meV/atom.

Sr2Li4MnS3O2 | PBE with a Hubbard U | relaxed

The structure in extended XYZ format:
```
12
Lattice="4.4630 0.0000 0.0000 0.0000 4.4630 0.0000 0.0000 0.0000 9.8195" Properties=species:S:1:pos:R:3 pbc="T T T"
Sr 2.2315 2.2315 8.3826
Sr 2.2315 2.2315 1.4369
S 0.0000 0.0000 3.0261
S 2.2315 2.2315 4.9097
S 0.0000 0.0000 6.7934
Li 2.2315 0.0000 6.1263
Li 0.0000 2.2315 3.6931
Li 0.0000 2.2315 6.1263
Li 2.2315 0.0000 3.6931
Mn 0.0000 0.0000 0.0000
O 0.0000 2.2315 0.0000
O 2.2315 0.0000 0.0000
```

The formation energy is -1.772 eV/atom. As for the total magnetization: 5.0 μB per formula unit. Its corrected total energy (MP2020 scheme) is -5.312 eV per atom. The crystal system is tetragonal.

Li4Mn3SbO8 | PBE with a Hubbard U | relaxed

The structure in extended XYZ format:
```
32
Lattice="3.4896 4.2960 2.6327 6.9707 -4.3440 -2.6573 -0.0022 3.2650 -5.3423" Properties=species:S:1:pos:R:3 pbc="T T T"
Li 7.8449 0.7805 -1.3545
Li 6.9753 3.7707 -1.3948
Li 2.6136 2.4371 -4.0126
Li 2.6125 0.8038 -1.3480
Li 8.7127 1.0547 -6.6557
Li 6.9625 5.3590 -4.0561
Li 7.8439 2.4130 -4.0248
Li 8.7232 -0.5390 -3.9936
Sb 5.2310 1.6044 -2.6743
Sb 10.4587 -0.0431 -0.0336
O 5.9896 3.4064 -3.2713
O 6.8430 1.9392 -5.9601
O 9.6003 -0.2771 -1.8554
O 6.9067 0.6269 -3.2791
O 3.6177 4.3675 -4.4645
O 5.1009 4.8026 -0.9245
O 6.0895 1.8364 -0.8525
O 1.6712 2.2868 -5.9400
O 3.5564 2.5866 -2.0842
O 4.4720 1.3005 -4.5501
O 8.7830 0.9335 0.5703
O 0.8616 1.7312 -0.6299
O 2.7271 5.7635 -2.1205
O 5.3536 -1.4081 -4.7240
O 7.7258 -0.7707 -6.1328
O 4.3671 -0.1223 -2.0543
Mn 4.3600 2.9521 -0.0251
Mn 5.2224 -0.0346 -0.0290
Mn 6.9751 -2.7006 -5.3117
Mn 6.0991 0.2654 -5.3419
Mn 6.0988 -1.3674 -2.6710
Mn 4.3586 4.5851 -2.6949
```

The formation energy is -2.108 eV/atom. As for the total magnetization: 0.0 μB per formula unit. Its corrected total energy (MP2020 scheme) is -7.035 eV per atom. The crystal system is triclinic. For the energy above the lowest structure with this stoichiometry, the calculation gives 2 meV/atom.

Li5Mn3Sb2O10 | PBE with a Hubbard U | relaxed

The structure in extended XYZ format:
```
40
Lattice="4.4903 -2.8531 0.7183 0.3813 6.8583 4.7042 -7.0708 -6.0549 5.6439" Properties=species:S:1:pos:R:3 pbc="T T T"
Li -0.3027 -3.5656 6.0457
Li -2.8547 -2.5057 7.0400
Li -3.3359 0.4144 7.9493
Li -5.5688 -1.5304 7.8344
Li -1.9059 1.5347 5.0522
Li 1.0716 -2.2939 3.3331
Li 0.3629 3.3670 4.7874
Li 0.7326 0.4159 4.0154
Li -2.5735 -5.3623 6.2912
Li 3.2025 -0.5262 3.1258
Mn -0.5544 -0.5083 1.4769
Mn -1.5814 -1.5382 9.6197
Mn 1.9311 1.4838 6.7569
Mn -4.1600 -3.5537 4.3133
Mn -1.3025 -4.4596 3.1912
Mn 2.2367 -1.3722 0.4086
O 0.0940 -1.4025 5.0459
O 2.3574 3.3178 5.7164
O 1.2701 2.3906 3.2916
O -2.3225 -0.6492 5.9840
O -0.7563 -2.3544 7.6677
O -3.0853 -4.3660 8.0618
O -2.8375 -7.3732 6.9543
O 0.8217 -4.4020 4.1162
O 2.8533 0.6267 4.9102
O -0.1526 1.2971 6.1139
O -1.4747 0.3115 3.3651
O 1.3800 -0.6426 2.2955
O -5.0357 -2.5610 6.0651
O -1.1986 0.3328 8.4902
O -3.6569 -1.7318 8.9413
O 0.5094 5.4080 4.2191
O -3.0247 2.3400 6.8297
O -4.4229 -5.5771 4.9250
O -1.0609 -2.4054 2.5489
O -2.0790 -3.3363 4.9468
Sb -0.4246 -0.5777 6.8488
Sb -1.8084 -1.4711 4.1875
Sb -5.3421 -4.4436 6.9739
Sb 3.1693 2.4445 4.0598
```

The formation energy is -2.070 eV/atom. As for the total magnetization: 15.0 μB per formula unit. Its corrected total energy (MP2020 scheme) is -6.808 eV per atom. The crystal system is triclinic. For the energy above the lowest structure with this stoichiometry, the calculation gives 0 meV/atom.

Li3MnSb4O12 | PBE with a Hubbard U | relaxed

The structure in extended XYZ format:
```
40
Lattice="-0.0023 2.9985 -4.3754 0.6253 6.3411 4.3520 11.1700 -0.0994 -0.0623" Properties=species:S:1:pos:R:3 pbc="T T T"
Mn 3.3065 1.7255 1.1840
Mn 8.8919 1.6757 1.1525
Li 9.2456 4.8932 3.3602
Li 3.6606 4.9429 3.3913
Li 6.1033 3.2220 -0.9973
Li 0.5182 3.2718 -0.9661
Li 0.8054 6.4597 1.2188
Li 6.3902 6.4099 1.1875
O 11.4372 5.0194 2.5975
O 0.9552 1.2656 -1.2110
O 3.0541 5.7949 1.6293
O 6.8039 5.4258 -0.5879
O 8.3069 3.3282 -1.7085
O 3.7453 0.7626 -0.6236
O 6.5400 1.2158 -1.2420
O 9.5814 5.8569 -1.3139
O 4.6334 3.5117 0.4853
O 8.6392 5.7451 1.5985
O 5.5138 4.1111 -2.8098
O 1.8601 3.2479 0.9505
O 2.7219 3.3779 -1.6768
O 2.2182 8.1979 0.4477
O 7.4447 3.1980 0.9197
O 11.0984 4.0615 -2.8412
O 10.5643 7.8122 0.8656
O 10.2179 3.4618 0.4544
O 1.2192 5.4754 -0.5567
O 3.9963 5.9069 -1.2824
O 5.8523 5.0688 2.6286
O 7.8027 8.1485 0.4164
O 9.3299 0.7132 -0.6546
O 4.9793 7.8621 0.8969
Sb 8.9359 7.7070 2.0639
Sb 8.6177 4.6147 -0.0458
Sb 3.3512 7.7566 2.0952
Sb 11.4302 6.0712 -2.2478
Sb 5.8445 6.1205 -2.2167
Sb 6.1919 9.2268 -0.0959
Sb 11.7772 9.1771 -0.1268
Sb 3.0331 4.6642 -0.0145
```

The formation energy is -2.012 eV/atom. As for the total magnetization: 0.0 μB per formula unit. Its corrected total energy (MP2020 scheme) is -6.551 eV per atom.

Number 1: VASP energy -6.48 eV/atom. Number 2: VASP energy -6.49 eV/atom. Number 3: VASP energy -6.31 eV/atom. Number 4: VASP energy -4.93 eV/atom. Number 5: VASP energy -6.38 eV/atom. Number 6: VASP energy -6.21 eV/atom. Number 7: VASP energy -6.06 eV/atom.